1.
First-principles (PBE-GGA) data for a relaxed UTe2PbO8 crystal, as listed in the Materials Project.

Output
Energy of formation, meV per atom: -2256
ρ, g cm⁻³: 6.9

a b c (Å): 7.101 7.932 14.222
angles (deg): 84.92 90.00 90.00
Sites, in units of the cell vectors:
O1 0.156 0.393 0.643
O2 0.676 0.523 0.544
O3 0.651 0.836 0.648
O4 0.670 0.266 0.739
O5 0.834 0.928 0.818
O6 0.385 0.831 0.453
O7 0.324 0.477 0.456
O8 0.176 0.477 0.956
O9 0.885 0.169 0.047
O10 0.529 0.071 0.154
O11 0.615 0.169 0.547
O12 0.349 0.164 0.352
O13 0.334 0.072 0.682
O14 0.849 0.836 0.148
O15 0.452 0.709 0.032
O16 0.471 0.929 0.846
O17 0.330 0.734 0.261
O18 0.824 0.523 0.044
O19 0.952 0.291 0.468
O20 0.971 0.071 0.654
O21 0.830 0.266 0.239
O22 0.844 0.607 0.357
O23 0.115 0.831 0.953
O24 0.151 0.164 0.852
O25 0.666 0.928 0.318
O26 0.656 0.607 0.857
O27 0.344 0.393 0.143
O28 0.048 0.709 0.532
O29 0.029 0.929 0.346
O30 0.166 0.072 0.182
O31 0.170 0.734 0.761
O32 0.548 0.291 0.968
U1 0.843 0.052 0.191
U2 0.343 0.948 0.309
U3 0.657 0.052 0.691
U4 0.157 0.948 0.809
Te1 0.687 0.353 0.458
Te2 0.313 0.647 0.542
Te3 0.187 0.647 0.042
Te4 0.334 0.192 0.081
Te5 0.666 0.808 0.919
Te6 0.166 0.192 0.581
Te7 0.834 0.808 0.419
Te8 0.813 0.353 0.958
Pb1 0.369 0.430 0.828
Pb2 0.869 0.570 0.672
Pb3 0.131 0.430 0.328
Pb4 0.631 0.570 0.172

2.
First-principles (PBE-GGA) data for a relaxed LiSb3 crystal, as listed in the Materials Project.

Output
Total magnetization, μB per atom: 0.000
Energy of formation, meV per atom: -192
ρ, g cm⁻³: 6.0

a b c (Å): 4.681 4.681 4.681
angles (deg): 90.00 90.00 90.00
Sites, in units of the cell vectors:
Sb1 0.500 0.500 0.000
Sb2 0.500 0.000 0.500
Sb3 0.000 0.500 0.500
Li1 0.000 0.000 0.000

no.,volume (Å³/atom)
1,16.62
2,25.64